The following is a DFT calculation (meta-GGA r2SCAN) of a relaxed structure of Yb2Sn.

Geometry as extended XYZ:
```
6
Lattice="-2.633 -4.561 0.000 -2.633 4.561 0.000 0.000 0.000 -6.439" Properties=species:S:1:pos:R:3 pbc="T T T"
Yb 0.000 0.000 0.000
Yb -2.633 -1.520 -4.829
Yb -2.633 1.520 -1.610
Yb 0.000 0.000 -3.219
Sn -2.633 1.520 -4.829
Sn -2.633 -1.520 -1.610
```

For the energy of formation from the pure elements, the calculation gives -0.585 eV/atom.

=====

The following is a DFT calculation (meta-GGA r2SCAN) of a relaxed structure of YbSn3.

Geometry as extended XYZ:
```
4
Lattice="-3.374 2.290 -2.254 0.489 -2.865 -3.642 -3.176 -2.873 1.835" Properties=species:S:1:pos:R:3 pbc="T T T"
Yb 0.000 0.000 0.000
Sn -1.344 -2.869 -0.903
Sn -1.443 -0.288 -2.948
Sn -3.275 -0.292 -0.210
```

For the energy of formation from the pure elements, the calculation gives -0.326 eV/atom.

=====

The following is a DFT calculation (meta-GGA r2SCAN) of a relaxed structure of Yb5Sn3.

Geometry as extended XYZ:
```
16
Lattice="6.661 0.931 5.619 -2.374 -5.867 6.063 0.740 -1.546 -8.595" Properties=species:S:1:pos:R:3 pbc="T T T"
Yb 2.144 -2.468 5.841
Yb 0.000 0.000 0.000
Yb 3.949 -0.808 -4.095
Yb -0.209 -4.191 3.673
Yb -0.063 -1.913 -3.089
Yb 3.803 -3.085 2.667
Yb 1.079 -5.673 7.182
Yb 5.237 -2.291 -0.585
Yb 5.091 -4.568 6.177
Yb 1.225 -3.396 0.420
Sn 1.072 -1.234 2.921
Sn 3.216 -3.702 8.762
Sn 5.001 -1.601 5.159
Sn 0.027 -4.881 -2.072
Sn 2.379 -1.302 -1.423
Sn 2.649 -5.179 4.510
```

For the energy of formation from the pure elements, the calculation gives -0.720 eV/atom.

=====

The following is a DFT calculation (meta-GGA r2SCAN) of a relaxed structure of YbZnSn.

Geometry as extended XYZ:
```
6
Lattice="-2.292 -3.970 0.000 -2.292 3.970 0.000 0.000 0.000 -7.047" Properties=species:S:1:pos:R:3 pbc="T T T"
Yb 0.000 0.000 -5.210
Yb 0.000 0.000 -1.686
Zn -2.292 -1.323 -3.373
Zn -2.292 1.323 -6.897
Sn -2.292 -1.323 -6.994
Sn -2.292 1.323 -3.470
```

For the energy of formation from the pure elements, the calculation gives -0.517 eV/atom.

=====

The following is a DFT calculation (meta-GGA r2SCAN) of a relaxed structure of Zr5Sn3.

Geometry as extended XYZ:
```
16
Lattice="8.524 0.000 0.000 -4.262 7.382 0.000 0.000 0.000 5.798" Properties=species:S:1:pos:R:3 pbc="T T T"
Zr 0.000 4.921 0.000
Zr 4.262 2.461 2.899
Zr 4.262 2.461 0.000
Zr 0.000 4.921 2.899
Zr 2.125 0.000 1.449
Zr 1.063 1.840 4.348
Zr -3.199 5.541 4.348
Zr -1.063 1.840 1.449
Zr 3.199 5.541 1.449
Zr 6.399 0.000 4.348
Sn 5.192 0.000 1.449
Sn 2.596 4.497 4.348
Sn -1.666 2.885 4.348
Sn -2.596 4.497 1.449
Sn 1.666 2.885 1.449
Sn 3.331 0.000 4.348
```

For the energy of formation from the pure elements, the calculation gives -0.640 eV/atom.

=====

The following is a DFT calculation (meta-GGA r2SCAN) of a relaxed structure of SrTe.

Geometry as extended XYZ:
```
2
Lattice="4.110 0.000 2.373 1.370 3.875 2.373 0.000 0.000 4.746" Properties=species:S:1:pos:R:3 pbc="T T T"
Sr 0.000 0.000 0.000
Te 2.740 1.937 4.746
```

For the energy of formation from the pure elements, the calculation gives -2.018 eV/atom.

=====

The following is a DFT calculation (meta-GGA r2SCAN) of a relaxed structure of SrTl3.

Geometry as extended XYZ:
```
8
Lattice="3.573 -6.189 0.000 3.573 6.189 0.000 0.000 0.000 5.506" Properties=species:S:1:pos:R:3 pbc="T T T"
Sr 3.573 2.063 4.130
Sr 3.573 -2.063 1.377
Tl 1.684 0.972 1.377
Tl 5.463 0.972 1.377
Tl 3.573 4.245 1.377
Tl 5.463 -0.972 4.130
Tl 1.684 -0.972 4.130
Tl 3.573 -4.245 4.130
```

For the energy of formation from the pure elements, the calculation gives -0.303 eV/atom.

=====

The following is a DFT calculation (meta-GGA r2SCAN) of a relaxed structure of SrTl.

Geometry as extended XYZ:
```
2
Lattice="4.063 0.000 0.000 0.000 4.063 0.000 0.000 0.000 4.063" Properties=species:S:1:pos:R:3 pbc="T T T"
Sr 0.000 0.000 0.000
Tl 2.031 2.031 2.031
```

For the energy of formation from the pure elements, the calculation gives -0.494 eV/atom.